Here is an optimized crystal structure of NaV2S4 from the Materials Project database. Energies are from PBE.

abc: 3.3936 5.8581 7.2336
angles: 76.95 90.00 90.00
Element x y z (fractional)
V1 0.5000 0.4697 0.0138
S1 0.5000 0.8806 0.8253
S2 0.5000 0.1019 0.2170
S3 0.0000 0.6163 0.1922
S4 0.0000 0.3965 0.7973
Na1 0.5000 0.6588 0.5009
V2 0.0000 0.0262 0.0035

Summary:
For the formation enthalpy at 0 K, the calculation gives -1.260 eV per atom. Its total energy is -42.84 eV per cell.